Here is Eu2Ge3Au after structural relaxation from Materials Project. Energies are from GGA-PBE.

Results
Its calculated total energy is -6.88 eV per atom. The calculation puts the energy above the most stable polymorph in this dataset at 0.058 eV/atom. As for the symmetry: P-6m2, No. 187. The formation energy from the elements comes out at -3.63 eV/f.u.

Cell lengths 4.3899, 4.3929, 8.7241 Å; angles 90.00, 90.00, 120.01 degrees
Last column: nearest neighbours and their distance in Å.
Fractional positions:
1 Eu 0.0000 0.0000 0.4951  9 Ge 3.32-3.37, 3 Au 3.32
2 Eu 0.0000 0.0000 0.0049  9 Ge 3.32-3.37, 3 Au 3.32
3 Ge 0.6666 0.3333 0.7500  3 Ge 2.53-2.54
4 Ge 0.6665 0.3333 0.2500  3 Au 2.53-2.54
5 Ge 0.3332 0.6666 0.7500  3 Ge 2.53-2.54
6 Au 0.3334 0.6667 0.2500  3 Ge 2.53-2.54

Here is EuGeAu after structural relaxation from Materials Project. Energies are from GGA-PBE.

Results
Its calculated total energy is -6.80 eV per atom. As for the symmetry: Imm2, No. 44. The formation energy from the elements comes out at -2.24 eV/f.u.

Cell lengths 4.6419, 5.9212, 5.9212 Å; angles 77.73, 66.92, 66.92 degrees
Last column: nearest neighbours and their distance in Å.
Fractional positions:
1 Au 0.9981 0.7841 0.2198  3 Ge 2.69-2.73
2 Au 0.9981 0.2198 0.7841  3 Ge 2.69-2.73
3 Eu 0.3682 0.6318 0.6318  6 Ge 3.15-3.32, 6 Au 3.29-3.36
4 Eu 0.2968 0.2032 0.2032  6 Au 3.17-3.25, 6 Ge 3.26-3.44
5 Ge 0.6666 0.0218 0.6450  3 Au 2.69-2.73, 1 Ge 2.80
6 Ge 0.6666 0.6450 0.0218  3 Au 2.69-2.73, 1 Ge 2.80

Q: Among the records above, which one has the lowest calculated total energy?
A: Eu2Ge3Au

Q: Number 2 is which compound?
A: EuGeAu